1.
# Na8Zn3GeP6O24, optimized geometry, DFT PBE-GGA
data_Na8Zn3GeP6O24
_chemical_formula_sum 'Na24 Zn9 Ge3 P18 O72'
_cell_length_a 8.9902
_cell_length_b 8.9902
_cell_length_c 21.9062
_cell_angle_alpha 90.00
_cell_angle_beta 90.00
_cell_angle_gamma 120.00
_space_group_name_H-M_alt 'P 3'
_space_group_IT_number 143
loop_
_space_group_symop_operation_xyz
'x,y,z'
'-y,x-y,z'
'-x+y,-x,z'
loop_
_atom_site_label
_atom_site_fract_x
_atom_site_fract_y
_atom_site_fract_z
Na1 0.0000 0.0000 0.0762
Na2 0.0000 0.0000 0.5772
Na3 0.0009 0.3746 0.8376
Na4 0.0316 0.3440 0.1574
Na5 0.0405 0.6972 0.6633
Na6 0.3231 0.0214 0.4912
Na7 0.3333 0.2998 0.0000
Na8 0.3333 0.6667 0.2451
Na9 0.3333 0.6667 0.7511
Na10 0.3752 0.3737 0.3289
Na11 0.6667 0.3333 0.4076
Na12 0.6667 0.3333 0.9194
Zn1 0.0000 0.0000 0.4279
Zn2 0.0000 0.0000 0.9319
Zn3 0.3333 0.6667 0.0925
Zn4 0.3333 0.6667 0.3987
Zn5 0.3333 0.6667 0.5933
Zn6 0.3333 0.6667 0.9053
Zn7 0.6667 0.3333 0.0675
Zn8 0.6667 0.3333 0.2592
Zn9 0.6667 0.3333 0.7651
Ge1 0.0000 0.0000 0.2311
Ge2 0.0000 0.0000 0.7326
Ge3 0.6667 0.3333 0.5647
P1 0.0003 0.2906 0.3316
P2 0.0282 0.6580 0.5012
P3 0.0340 0.3691 0.9975
P4 0.2897 0.2890 0.8290
P5 0.3608 0.3258 0.1681
P6 0.3710 0.0430 0.6656
O1 0.0019 0.8149 0.4960
O2 0.0163 0.1882 0.9945
O3 0.0275 0.1972 0.2746
O4 0.0297 0.8290 0.7685
O5 0.1037 0.6203 0.4438
O6 0.1137 0.4768 0.9386
O7 0.1375 0.6876 0.5585
O8 0.1388 0.4838 0.6579
O9 0.1445 0.4530 0.0549
O10 0.1479 0.6654 0.1623
O11 0.1638 0.6964 0.8285
O12 0.1670 0.4694 0.3325
O13 0.1754 0.1552 0.1739
O14 0.1873 0.0308 0.6674
O15 0.2072 0.1790 0.8851
O16 0.2139 0.0269 0.3905
O17 0.4367 0.2876 0.1111
O18 0.4580 0.1641 0.6075
O19 0.4692 0.3065 0.8234
O20 0.4707 0.1602 0.3258
O21 0.4708 0.3564 0.2255
O22 0.4799 0.1210 0.7219
O23 0.4986 0.1467 0.0020
O24 0.5134 0.3564 0.5073
# Energy of formation = -237 kJ per mole of atoms
# Crystal system = trigonal


2.
# AsS, optimized geometry, DFT PBE-GGA
data_AsS
_chemical_formula_sum 'As24 S24'
_cell_length_a 8.457
_cell_length_b 10.318
_cell_length_c 19.362
_cell_angle_alpha 92.13
_cell_angle_beta 91.60
_cell_angle_gamma 107.01
_space_group_name_H-M_alt 'P 1'
_space_group_IT_number 1
loop_
_space_group_symop_operation_xyz
'x,y,z'
loop_
_atom_site_label
_atom_site_fract_x
_atom_site_fract_y
_atom_site_fract_z
As1 0.000 0.000 0.000
As2 0.001 0.344 0.715
As3 0.016 0.860 0.794
As4 0.206 0.679 0.489
As5 0.240 0.205 0.031
As6 0.299 0.282 0.514
As7 0.311 0.803 0.980
As8 0.461 0.128 0.229
As9 0.489 0.642 0.291
As10 0.538 0.495 0.498
As11 0.546 0.013 0.336
As12 0.564 0.505 0.186
As13 0.565 0.992 0.023
As14 0.574 0.975 0.156
As15 0.585 0.483 0.365
As16 0.711 0.329 0.229
As17 0.727 0.855 0.288
As18 0.753 0.146 0.727
As19 0.774 0.657 0.774
As20 0.911 0.501 0.638
As21 0.921 0.018 0.873
As22 0.923 0.477 0.820
As23 0.926 0.973 0.688
As24 0.967 0.472 0.510
S1 0.042 0.291 0.478
S2 0.078 0.823 0.031
S3 0.151 0.789 0.588
S4 0.161 0.121 0.677
S5 0.161 0.667 0.667
S6 0.165 0.186 0.851
S7 0.171 0.595 0.844
S8 0.184 0.313 0.937
S9 0.310 0.390 0.171
S10 0.319 0.849 0.336
S11 0.320 0.332 0.339
S12 0.334 0.189 0.407
S13 0.335 0.797 0.159
S14 0.368 0.688 0.073
S15 0.455 0.667 0.537
S16 0.494 0.178 0.987
S17 0.589 0.120 0.629
S18 0.596 0.639 0.861
S19 0.653 0.271 0.566
S20 0.672 0.767 0.943
S21 0.698 0.341 0.035
S22 0.799 0.281 0.119
S23 0.857 0.698 0.430
S24 0.889 0.870 0.385
# Energy of formation = -10 kJ per mole of atoms
# Crystal system = triclinic
# Excess energy over the best structure of this formula in the dataset = 283 meV/atom


3.
# Cs2UPd3Se6, optimized geometry, DFT PBE-GGA
data_Cs2UPd3Se6
_chemical_formula_sum 'Cs16 U8 Pd24 Se48'
_cell_length_a 10.205
_cell_length_b 16.183
_cell_length_c 17.718
_cell_angle_alpha 90.00
_cell_angle_beta 90.00
_cell_angle_gamma 90.00
_space_group_name_H-M_alt 'F m m m'
_space_group_IT_number 69
_space_group_name_Hall '-F 2 2'
loop_
_atom_site_label
_atom_site_fract_x
_atom_site_fract_y
_atom_site_fract_z
Cs1 0.000 0.197 0.000
Cs2 0.250 0.250 0.250
U1 0.000 0.000 0.333
Pd1 0.166 0.000 0.161
Pd2 0.170 0.000 0.500
Se1 0.000 0.105 0.204
Se2 0.187 0.107 0.398
# Energy of formation = -108 kJ per mole of atoms
# Crystal system = orthorhombic


4.
# Rb3TaS4, optimized geometry, DFT PBE-GGA
data_Rb3TaS4
_chemical_formula_sum 'Rb12 Ta4 S16'
_cell_length_a 9.714
_cell_length_b 11.307
_cell_length_c 9.873
_cell_angle_alpha 90.00
_cell_angle_beta 90.00
_cell_angle_gamma 90.00
_space_group_name_H-M_alt 'P n m a'
_space_group_IT_number 62
loop_
_space_group_symop_operation_xyz
'x,y,z'
'-x,-y,-z'
'-x+1/2,-y,z+1/2'
'x+1/2,y,-z+1/2'
'x+1/2,-y+1/2,-z+1/2'
'-x+1/2,y+1/2,z+1/2'
'-x,y+1/2,-z'
'x,-y+1/2,z'
loop_
_atom_site_label
_atom_site_fract_x
_atom_site_fract_y
_atom_site_fract_z
Rb1 0.054 0.044 0.211
Rb2 0.140 0.750 0.423
Ta1 0.218 0.750 0.987
S1 0.002 0.750 0.081
S2 0.167 0.083 0.551
S3 0.197 0.750 0.756
# Energy of formation = -148 kJ per mole of atoms
# Crystal system = orthorhombic